Computed, not measured: Li3Co2O5 after structural relaxation at the PBE with a Hubbard U level of DFT.

Cell and atoms, written as POSCAR:
```
Li3Co2O5
1.0
2.710 -4.041 1.731
4.265 -1.579 2.446
-4.226 -0.668 11.491
Co O Li
4 10 6
Direct
0.404 0.404 0.692
0.201 0.201 0.102
0.596 0.596 0.308
0.799 0.799 0.898
0.036 0.036 0.654
0.560 0.560 0.159
0.440 0.440 0.841
0.155 0.155 0.955
0.845 0.845 0.045
0.349 0.349 0.565
0.758 0.758 0.754
0.651 0.651 0.435
0.242 0.242 0.246
0.964 0.964 0.346
0.500 0.500 0.000
0.304 0.304 0.399
0.000 0.000 0.500
0.696 0.696 0.601
0.098 0.098 0.799
0.902 0.902 0.201
```

Summary:
For the energy above the most stable polymorph in this dataset, the calculation gives 0.074 eV per atom. As for the total magnetization: 0.100 μB/atom. The calculation puts the raw total energy at -109.30 eV per cell. The formation enthalpy at 0 K is -1668 meV/atom. The value obtained for the volume is 8.93 A^3/atom. Its space group is C2/m (12).